Below is a relaxed Zr3NiF6 crystal, with properties calculated at the GGA+U level.

Unit cell a=5.8656 b=7.5042 c=10.9394 alpha=84.59 beta=86.39 gamma=112.34
Element x y z (fractional)
Zr: 0.0000 0.5000 0.0000
F: 0.3518 0.2088 0.0034
F: 0.6482 0.7912 0.9966
F: 0.9234 0.9617 0.6800
F: 0.0766 0.0383 0.3200
F: 0.8916 0.2258 0.9578
Zr: 0.5000 0.5000 0.0000
Ni: 0.0000 0.0000 0.0000
F: 0.1084 0.7742 0.0422
Zr: 0.0000 0.0000 0.5000

## Properties
VASP energy   -55.52 eV/cell
Calculated volume   440.8 Å³ per cell